{"formula": "TbAl", "functional": "meta-GGA r2SCAN", "state": "optimized geometry", "lattice_angstrom": [[3.602, 0.000, 0.000], [0.000, 3.602, 0.000], [0.000, 0.000, 3.602]], "species": ["Tb", "Al"], "fractional_positions": [[0.000, 0.000, 0.000], [0.500, 0.500, 0.500]], "e_form_ev_per_atom": -0.444}

***

{"formula": "LaPmRu2", "functional": "meta-GGA r2SCAN", "state": "optimized geometry", "lattice_angstrom": [[7.021, 0.000, 0.000], [0.000, 7.021, 0.000], [0.000, 0.000, 7.021]], "species": ["La", "La", "La", "La", "Pm", "Pm", "Pm", "Pm", "Ru", "Ru", "Ru", "Ru", "Ru", "Ru", "Ru", "Ru"], "fractional_positions": [[0.000, 0.000, 0.000], [0.000, 0.500, 0.500], [0.500, 0.000, 0.500], [0.500, 0.500, 0.000], [0.000, 0.000, 0.500], [0.000, 0.500, 0.000], [0.500, 0.000, 0.000], [0.500, 0.500, 0.500], [0.250, 0.250, 0.250], [0.250, 0.250, 0.750], [0.250, 0.750, 0.250], [0.250, 0.750, 0.750], [0.750, 0.250, 0.250], [0.750, 0.250, 0.750], [0.750, 0.750, 0.250], [0.750, 0.750, 0.750]], "e_form_ev_per_atom": -0.104}

***

{"formula": "K5B19O31", "functional": "meta-GGA r2SCAN", "state": "optimized geometry", "lattice_angstrom": [[8.958, -5.757, 0.000], [8.958, 5.757, 0.000], [-1.271, 0.000, 12.884]], "species": ["K", "K", "K", "K", "K", "K", "K", "K", "K", "K", "B", "B", "B", "B", "B", "B", "B", "B", "B", "B", "B", "B", "B", "B", "B", "B", "B", "B", "B", "B", "B", "B", "B", "B", "B", "B", "B", "B", "B", "B", "B", "B", "B", "B", "B", "B", "B", "B", "O", "O", "O", "O", "O", "O", "O", "O", "O", "O", "O", "O", "O", "O", "O", "O", "O", "O", "O", "O", "O", "O", "O", "O", "O", "O", "O", "O", "O", "O", "O", "O", "O", "O", "O", "O", "O", "O", "O", "O", "O", "O", "O", "O", "O", "O", "O", "O", "O", "O", "O", "O", "O", "O", "O", "O", "O", "O", "O", "O", "O", "O"], "fractional_positions": [[0.000, 0.000, 0.000], [0.000, 0.000, 0.500], [0.056, 0.593, 0.332], [0.295, 0.377, 0.802], [0.377, 0.295, 0.302], [0.407, 0.944, 0.168], [0.593, 0.056, 0.832], [0.623, 0.705, 0.698], [0.705, 0.623, 0.198], [0.944, 0.407, 0.668], [0.016, 0.675, 0.698], [0.046, 0.089, 0.241], [0.052, 0.294, 0.959], [0.089, 0.046, 0.741], [0.115, 0.238, 0.143], [0.170, 0.678, 0.137], [0.203, 0.532, 0.571], [0.236, 0.287, 0.522], [0.238, 0.115, 0.643], [0.279, 0.692, 0.495], [0.287, 0.236, 0.022], [0.294, 0.052, 0.459], [0.308, 0.721, 0.005], [0.322, 0.830, 0.363], [0.325, 0.984, 0.802], [0.391, 0.609, 0.250], [0.433, 0.535, 0.617], [0.465, 0.567, 0.883], [0.468, 0.797, 0.929], [0.532, 0.203, 0.071], [0.535, 0.433, 0.117], [0.567, 0.465, 0.383], [0.609, 0.391, 0.750], [0.675, 0.016, 0.198], [0.678, 0.170, 0.637], [0.692, 0.279, 0.995], [0.706, 0.948, 0.541], [0.713, 0.764, 0.978], [0.721, 0.308, 0.505], [0.762, 0.885, 0.357], [0.764, 0.713, 0.478], [0.797, 0.468, 0.429], [0.830, 0.322, 0.863], [0.885, 0.762, 0.857], [0.911, 0.954, 0.259], [0.948, 0.706, 0.041], [0.954, 0.911, 0.759], [0.984, 0.325, 0.302], [0.016, 0.283, 0.053], [0.023, 0.802, 0.690], [0.033, 0.967, 0.250], [0.040, 0.676, 0.127], [0.068, 0.337, 0.232], [0.090, 0.562, 0.639], [0.100, 0.123, 0.667], [0.123, 0.100, 0.167], [0.179, 0.650, 0.509], [0.185, 0.275, 0.941], [0.198, 0.977, 0.810], [0.203, 0.751, 0.070], [0.214, 0.416, 0.497], [0.220, 0.254, 0.618], [0.249, 0.797, 0.430], [0.253, 0.614, 0.218], [0.254, 0.220, 0.118], [0.275, 0.185, 0.441], [0.283, 0.016, 0.553], [0.324, 0.960, 0.373], [0.333, 0.493, 0.635], [0.337, 0.068, 0.732], [0.350, 0.821, 0.991], [0.359, 0.594, 0.950], [0.386, 0.747, 0.282], [0.406, 0.641, 0.550], [0.416, 0.214, 0.997], [0.438, 0.910, 0.861], [0.439, 0.515, 0.335], [0.485, 0.561, 0.165], [0.493, 0.333, 0.135], [0.507, 0.667, 0.865], [0.515, 0.439, 0.835], [0.561, 0.485, 0.665], [0.562, 0.090, 0.139], [0.584, 0.786, 0.003], [0.594, 0.359, 0.450], [0.614, 0.253, 0.718], [0.641, 0.406, 0.050], [0.650, 0.179, 0.009], [0.663, 0.932, 0.268], [0.667, 0.507, 0.365], [0.676, 0.040, 0.627], [0.717, 0.984, 0.447], [0.725, 0.815, 0.559], [0.746, 0.780, 0.882], [0.747, 0.386, 0.782], [0.751, 0.203, 0.570], [0.780, 0.746, 0.382], [0.786, 0.584, 0.503], [0.797, 0.249, 0.930], [0.802, 0.023, 0.190], [0.815, 0.725, 0.059], [0.821, 0.350, 0.491], [0.877, 0.900, 0.833], [0.900, 0.877, 0.333], [0.910, 0.438, 0.361], [0.932, 0.663, 0.768], [0.960, 0.324, 0.873], [0.967, 0.033, 0.750], [0.977, 0.198, 0.310], [0.984, 0.717, 0.947]], "e_form_ev_per_atom": -2.605}

***

{"formula": "U3O8", "functional": "meta-GGA r2SCAN", "state": "optimized geometry", "lattice_angstrom": [[6.793, 0.000, 0.000], [-3.397, 5.883, 0.000], [0.000, 0.000, 4.133]], "species": ["U", "U", "U", "O", "O", "O", "O", "O", "O", "O", "O"], "fractional_positions": [[0.000, 0.352, 0.000], [0.352, 0.000, 0.000], [0.648, 0.648, 0.000], [0.000, 0.359, 0.500], [0.000, 0.747, 0.000], [0.253, 0.253, 0.000], [0.333, 0.667, 0.000], [0.359, 0.000, 0.500], [0.641, 0.641, 0.500], [0.667, 0.333, 0.000], [0.747, 0.000, 0.000]], "e_form_ev_per_atom": -3.506}

***

{"formula": "La3Si6Pd20", "functional": "meta-GGA r2SCAN", "state": "optimized geometry", "lattice_angstrom": [[0.000, 6.185, 6.185], [6.185, 0.000, 6.185], [6.185, 6.185, 0.000]], "species": ["La", "La", "La", "Si", "Si", "Si", "Si", "Si", "Si", "Pd", "Pd", "Pd", "Pd", "Pd", "Pd", "Pd", "Pd", "Pd", "Pd", "Pd", "Pd", "Pd", "Pd", "Pd", "Pd", "Pd", "Pd", "Pd", "Pd"], "fractional_positions": [[0.000, 0.000, 0.000], [0.250, 0.250, 0.250], [0.750, 0.750, 0.750], [0.267, 0.267, 0.733], [0.267, 0.733, 0.267], [0.267, 0.733, 0.733], [0.733, 0.267, 0.267], [0.733, 0.267, 0.733], [0.733, 0.733, 0.267], [0.000, 0.000, 0.348], [0.000, 0.000, 0.652], [0.000, 0.348, 0.000], [0.000, 0.348, 0.652], [0.000, 0.652, 0.000], [0.000, 0.652, 0.348], [0.158, 0.614, 0.614], [0.348, 0.000, 0.000], [0.348, 0.000, 0.652], [0.348, 0.652, 0.000], [0.386, 0.386, 0.386], [0.386, 0.386, 0.842], [0.386, 0.842, 0.386], [0.614, 0.158, 0.614], [0.614, 0.614, 0.158], [0.614, 0.614, 0.614], [0.652, 0.000, 0.000], [0.652, 0.000, 0.348], [0.652, 0.348, 0.000], [0.842, 0.386, 0.386]], "e_form_ev_per_atom": -0.814}

***

{"formula": "PrNiGe3", "functional": "meta-GGA r2SCAN", "state": "optimized geometry", "lattice_angstrom": [[2.072, -10.894, 0.000], [2.072, 10.894, 0.000], [0.000, 0.000, 4.191]], "species": ["Pr", "Pr", "Ni", "Ni", "Ge", "Ge", "Ge", "Ge", "Ge", "Ge"], "fractional_positions": [[0.168, 0.832, 0.000], [0.832, 0.168, 0.000], [0.392, 0.608, 0.500], [0.608, 0.392, 0.500], [0.057, 0.943, 0.500], [0.284, 0.716, 0.500], [0.443, 0.557, 0.000], [0.557, 0.443, 0.000], [0.716, 0.284, 0.500], [0.943, 0.057, 0.500]], "e_form_ev_per_atom": -0.620}

***

{"formula": "YbIn2Pt", "functional": "meta-GGA r2SCAN", "state": "optimized geometry", "lattice_angstrom": [[4.391, 0.000, 0.000], [0.000, 10.329, 0.000], [0.000, 0.000, 7.582]], "species": ["Yb", "Yb", "Yb", "Yb", "In", "In", "In", "In", "In", "In", "In", "In", "Pt", "Pt", "Pt", "Pt"], "fractional_positions": [[0.000, 0.074, 0.250], [0.000, 0.926, 0.750], [0.500, 0.426, 0.750], [0.500, 0.574, 0.250], [0.000, 0.363, 0.049], [0.000, 0.363, 0.451], [0.000, 0.637, 0.549], [0.000, 0.637, 0.951], [0.500, 0.137, 0.549], [0.500, 0.137, 0.951], [0.500, 0.863, 0.049], [0.500, 0.863, 0.451], [0.000, 0.213, 0.750], [0.000, 0.787, 0.250], [0.500, 0.287, 0.250], [0.500, 0.713, 0.750]], "e_form_ev_per_atom": -0.852}

***

{"formula": "Li5Sn2", "functional": "meta-GGA r2SCAN", "state": "optimized geometry", "lattice_angstrom": [[2.354, 1.359, 6.549], [-2.354, 1.359, 6.549], [0.000, -2.718, 6.549]], "species": ["Li", "Li", "Li", "Li", "Li", "Sn", "Sn"], "fractional_positions": [[0.000, 0.000, 0.000], [0.145, 0.145, 0.145], [0.286, 0.286, 0.286], [0.714, 0.714, 0.714], [0.855, 0.855, 0.855], [0.427, 0.427, 0.427], [0.573, 0.573, 0.573]], "e_form_ev_per_atom": -0.454}

***

{"formula": "LaYbCu2", "functional": "meta-GGA r2SCAN", "state": "optimized geometry", "lattice_angstrom": [[7.034, 0.000, 0.000], [0.000, 7.034, 0.000], [0.000, 0.000, 7.034]], "species": ["La", "La", "La", "La", "Yb", "Yb", "Yb", "Yb", "Cu", "Cu", "Cu", "Cu", "Cu", "Cu", "Cu", "Cu"], "fractional_positions": [[0.000, 0.000, 0.000], [0.000, 0.500, 0.500], [0.500, 0.000, 0.500], [0.500, 0.500, 0.000], [0.000, 0.000, 0.500], [0.000, 0.500, 0.000], [0.500, 0.000, 0.000], [0.500, 0.500, 0.500], [0.250, 0.250, 0.250], [0.250, 0.250, 0.750], [0.250, 0.750, 0.250], [0.250, 0.750, 0.750], [0.750, 0.250, 0.250], [0.750, 0.250, 0.750], [0.750, 0.750, 0.250], [0.750, 0.750, 0.750]], "e_form_ev_per_atom": -0.177}

***

{"formula": "ZrCl4", "functional": "meta-GGA r2SCAN", "state": "optimized geometry", "lattice_angstrom": [[6.481, 0.000, 0.000], [0.000, 7.585, 0.000], [-1.990, 0.000, 5.937]], "species": ["Zr", "Zr", "Cl", "Cl", "Cl", "Cl", "Cl", "Cl", "Cl", "Cl"], "fractional_positions": [[0.000, 0.163, 0.250], [0.000, 0.837, 0.750], [0.223, 0.105, 0.997], [0.223, 0.895, 0.497], [0.251, 0.359, 0.478], [0.251, 0.641, 0.978], [0.749, 0.359, 0.022], [0.749, 0.641, 0.522], [0.777, 0.105, 0.503], [0.777, 0.895, 0.003]], "e_form_ev_per_atom": -2.006}

***

{"formula": "CsTmW2O8", "functional": "meta-GGA r2SCAN", "state": "optimized geometry", "lattice_angstrom": [[5.987, 0.000, 0.000], [-2.994, 5.185, 0.000], [0.000, 0.000, 8.136]], "species": ["Cs", "Tm", "W", "W", "O", "O", "O", "O", "O", "O", "O", "O"], "fractional_positions": [[0.000, 0.000, 0.000], [0.000, 0.000, 0.500], [0.333, 0.667, 0.267], [0.667, 0.333, 0.733], [0.169, 0.338, 0.337], [0.169, 0.831, 0.337], [0.333, 0.667, 0.052], [0.338, 0.169, 0.663], [0.662, 0.831, 0.337], [0.667, 0.333, 0.948], [0.831, 0.169, 0.663], [0.831, 0.662, 0.663]], "e_form_ev_per_atom": -2.731}

***

{"formula": "Rb2TeO3", "functional": "meta-GGA r2SCAN", "state": "optimized geometry", "lattice_angstrom": [[5.823, -3.218, 0.000], [5.823, 3.218, 0.000], [-0.647, 0.000, 7.484]], "species": ["Rb", "Rb", "Rb", "Rb", "Te", "Te", "O", "O", "O", "O", "O", "O"], "fractional_positions": [[0.000, 0.000, 0.000], [0.000, 0.000, 0.500], [0.318, 0.318, 0.863], [0.682, 0.682, 0.137], [0.338, 0.338, 0.344], [0.662, 0.662, 0.656], [0.165, 0.611, 0.214], [0.182, 0.182, 0.270], [0.389, 0.835, 0.786], [0.611, 0.165, 0.214], [0.818, 0.818, 0.730], [0.835, 0.389, 0.786]], "e_form_ev_per_atom": -1.625}

***

{"formula": "Ti2RuRh", "functional": "meta-GGA r2SCAN", "state": "optimized geometry", "lattice_angstrom": [[6.157, 0.000, 0.000], [0.000, 6.157, 0.000], [0.000, 0.000, 6.157]], "species": ["Ti", "Ti", "Ti", "Ti", "Ti", "Ti", "Ti", "Ti", "Ru", "Ru", "Ru", "Ru", "Rh", "Rh", "Rh", "Rh"], "fractional_positions": [[0.250, 0.250, 0.250], [0.250, 0.250, 0.750], [0.250, 0.750, 0.250], [0.250, 0.750, 0.750], [0.750, 0.250, 0.250], [0.750, 0.250, 0.750], [0.750, 0.750, 0.250], [0.750, 0.750, 0.750], [0.000, 0.000, 0.000], [0.000, 0.500, 0.500], [0.500, 0.000, 0.500], [0.500, 0.500, 0.000], [0.000, 0.000, 0.500], [0.000, 0.500, 0.000], [0.500, 0.000, 0.000], [0.500, 0.500, 0.500]], "e_form_ev_per_atom": -0.793}

***

{"formula": "LaPm3", "functional": "meta-GGA r2SCAN", "state": "optimized geometry", "lattice_angstrom": [[7.523, 0.000, 0.000], [-3.761, 6.515, 0.000], [0.000, 0.000, 5.873]], "species": ["La", "La", "Pm", "Pm", "Pm", "Pm", "Pm", "Pm"], "fractional_positions": [[0.333, 0.667, 0.250], [0.667, 0.333, 0.750], [0.166, 0.332, 0.750], [0.166, 0.834, 0.750], [0.332, 0.166, 0.250], [0.668, 0.834, 0.750], [0.834, 0.166, 0.250], [0.834, 0.668, 0.250]], "e_form_ev_per_atom": 0.029}

***

{"formula": "Rb2ScInCl6", "functional": "meta-GGA r2SCAN", "state": "optimized geometry", "lattice_angstrom": [[0.000, 5.468, 5.468], [5.468, 0.000, 5.468], [5.468, 5.468, 0.000]], "species": ["Rb", "Rb", "Sc", "In", "Cl", "Cl", "Cl", "Cl", "Cl", "Cl"], "fractional_positions": [[0.250, 0.250, 0.250], [0.750, 0.750, 0.750], [0.000, 0.000, 0.000], [0.500, 0.500, 0.500], [0.228, 0.228, 0.772], [0.228, 0.772, 0.228], [0.228, 0.772, 0.772], [0.772, 0.228, 0.228], [0.772, 0.228, 0.772], [0.772, 0.772, 0.228]], "e_form_ev_per_atom": -1.991}

***

{"formula": "NdFe4Sb12", "functional": "meta-GGA r2SCAN", "state": "optimized geometry", "lattice_angstrom": [[-4.567, 4.567, 4.567], [4.567, -4.567, 4.567], [4.567, 4.567, -4.567]], "species": ["Nd", "Fe", "Fe", "Fe", "Fe", "Sb", "Sb", "Sb", "Sb", "Sb", "Sb", "Sb", "Sb", "Sb", "Sb", "Sb", "Sb"], "fractional_positions": [[0.000, 0.000, 0.000], [0.000, 0.000, 0.500], [0.000, 0.500, 0.000], [0.500, 0.000, 0.000], [0.500, 0.500, 0.500], [0.162, 0.335, 0.497], [0.162, 0.665, 0.827], [0.173, 0.838, 0.335], [0.335, 0.173, 0.838], [0.335, 0.497, 0.162], [0.497, 0.162, 0.335], [0.503, 0.838, 0.665], [0.665, 0.503, 0.838], [0.665, 0.827, 0.162], [0.827, 0.162, 0.665], [0.838, 0.335, 0.173], [0.838, 0.665, 0.503]], "e_form_ev_per_atom": -0.100}

***

{"formula": "Zr2In5Ni", "functional": "meta-GGA r2SCAN", "state": "optimized geometry", "lattice_angstrom": [[10.082, 0.000, 0.000], [0.000, 10.082, 0.000], [0.000, 0.000, 6.752]], "species": ["Zr", "Zr", "Zr", "Zr", "Zr", "Zr", "Zr", "Zr", "In", "In", "In", "In", "In", "In", "In", "In", "In", "In", "In", "In", "In", "In", "In", "In", "In", "In", "In", "In", "Ni", "Ni", "Ni", "Ni"], "fractional_positions": [[0.162, 0.162, 0.000], [0.199, 0.199, 0.500], [0.301, 0.699, 0.000], [0.338, 0.662, 0.500], [0.662, 0.338, 0.500], [0.699, 0.301, 0.000], [0.801, 0.801, 0.500], [0.838, 0.838, 0.000], [0.000, 0.000, 0.297], [0.000, 0.000, 0.703], [0.058, 0.701, 0.278], [0.058, 0.701, 0.722], [0.201, 0.442, 0.222], [0.201, 0.442, 0.778], [0.299, 0.942, 0.278], [0.299, 0.942, 0.722], [0.442, 0.201, 0.222], [0.442, 0.201, 0.778], [0.500, 0.500, 0.203], [0.500, 0.500, 0.797], [0.558, 0.799, 0.222], [0.558, 0.799, 0.778], [0.701, 0.058, 0.278], [0.701, 0.058, 0.722], [0.799, 0.558, 0.222], [0.799, 0.558, 0.778], [0.942, 0.299, 0.278], [0.942, 0.299, 0.722], [0.114, 0.886, 0.000], [0.386, 0.386, 0.500], [0.614, 0.614, 0.500], [0.886, 0.114, 0.000]], "e_form_ev_per_atom": -0.396}